(1)
Material: CeCd3
Method: DFT, GGA-PBE
State: optimized geometry

Cell and atoms, written as POSCAR:
```
CeCd3
1.0
0.0000 3.6631 3.6631
3.6631 0.0000 3.6631
3.6631 3.6631 0.0000
Ce Cd
1 3
Cartesian
0.0000 0.0000 0.0000 Ce
1.8315 1.8315 1.8315 Cd
3.6631 3.6631 3.6631 Cd
5.4946 5.4946 5.4946 Cd
```

Properties
Formation enthalpy at 0 K: -0.2219 eV per atom
Final energy: -2.397 eV/atom

---

(2)
Material: HfMn
Method: DFT, GGA-PBE
State: optimized geometry

Cell and atoms, written as POSCAR:
```
HfMn
1.0
0.0000 5.8137 5.8137
5.8137 0.0000 5.8137
5.8137 5.8137 0.0000
Hf Mn
12 12
Cartesian
4.3603 4.3603 0.8458 Hf
4.3603 0.8458 4.3603 Hf
7.8748 4.3603 4.3603 Hf
7.2672 7.2672 3.7527 Hf
7.2672 3.7527 7.2672 Hf
10.7817 7.2672 7.2672 Hf
0.8458 4.3603 4.3603 Hf
4.3603 7.8748 4.3603 Hf
4.3603 4.3603 7.8748 Hf
3.7527 7.2672 7.2672 Hf
7.2672 10.7817 7.2672 Hf
7.2672 7.2672 10.7817 Hf
5.8137 2.9069 2.9069 Mn
3.4625 3.4625 3.4625 Mn
5.2581 5.2581 3.4625 Mn
5.2581 3.4625 5.2581 Mn
8.1650 6.3694 6.3694 Mn
2.9069 5.8137 2.9069 Mn
2.9069 2.9069 5.8137 Mn
5.8137 5.8137 5.8137 Mn
3.4625 5.2581 5.2581 Mn
6.3694 8.1650 6.3694 Mn
6.3694 6.3694 8.1650 Mn
8.1650 8.1650 8.1650 Mn
```

Properties
Formation enthalpy at 0 K: -0.1880 eV per atom
Final energy: -9.748 eV/atom

---

(3)
Material: CaGa3Pt
Method: DFT, GGA-PBE
State: optimized geometry

Cell and atoms, written as POSCAR:
```
CaGa3Pt
1.0
-2.1170 2.1170 5.5626
2.1170 -2.1170 5.5626
2.1170 2.1170 -5.5626
Ca Ga Pt
1 3 1
Cartesian
0.0000 0.0000 0.0000 Ca
2.1170 0.0000 2.8314 Ga
0.0000 0.0000 6.7484 Ga
0.0000 2.1170 2.8314 Ga
0.0000 0.0000 4.2571 Pt
```

Properties
Formation enthalpy at 0 K: -0.6547 eV per atom
Final energy: -4.087 eV/atom

---

(4)
Material: KRb2YF6
Method: DFT, GGA-PBE
State: optimized geometry

Cell and atoms, written as POSCAR:
```
KRb2YF6
1.0
6.5814 0.0000 0.0000
0.0000 6.7506 0.0000
-6.5380 0.0000 9.3672
K Rb Y F
2 4 2 12
Cartesian
0.0000 0.0000 0.0000 K
-3.2690 3.3753 4.6836 K
-3.3293 0.2955 7.0079 Rb
-0.0603 3.0798 2.3243 Rb
0.1037 3.6709 7.0428 Rb
3.3727 6.4551 2.3592 Rb
0.0217 0.0000 4.6836 Y
3.2907 3.3753 0.0000 Y
-1.7634 1.2276 4.2984 F
-5.0324 2.1477 8.9820 F
-1.1441 4.9475 4.1793 F
-4.4131 5.1785 8.8629 F
0.6018 0.2620 2.5766 F
-2.6672 3.1133 7.2602 F
2.7106 3.6373 2.1070 F
-0.5584 6.4886 6.7906 F
4.4565 1.5721 0.5042 F
1.1875 1.8032 5.1878 F
5.0758 4.6030 0.3851 F
1.8068 5.5230 5.0687 F
```

Properties
Formation enthalpy at 0 K: -3.5858 eV per atom
Final energy: -5.411 eV/atom

---

(5)
Material: MgFe4P4S4
Method: DFT, GGA-PBE
State: optimized geometry

Cell and atoms, written as POSCAR:
```
MgFe4P4S4
1.0
5.5609 0.0000 0.0000
-0.0370 5.8270 0.0000
-0.0387 -1.8890 5.5673
Mg Fe P S
1 4 4 4
Cartesian
0.0000 0.0000 0.0000 Mg
2.6503 1.0372 1.5294 Fe
2.7038 2.8498 3.9740 Fe
5.4232 3.8847 1.3561 Fe
5.4937 0.0121 4.1609 Fe
0.7934 0.0290 2.2280 P
2.1012 -0.8067 4.7352 P
3.2875 4.7100 0.7555 P
4.6075 3.8104 3.3280 P
0.6768 2.0210 4.5495 S
1.9057 3.1690 1.8317 S
3.4591 0.7261 3.6657 S
4.6529 1.8960 0.9236 S
```

Properties
Offset from the most stable computed form: 32.0 meV per atom
Formation enthalpy at 0 K: -0.4678 eV per atom
Final energy: -5.981 eV/atom

---

(6)
Material: ZrNbAl6
Method: DFT, GGA-PBE
State: optimized geometry

Cell and atoms, written as POSCAR:
```
ZrNbAl6
1.0
3.9006 0.0000 0.0000
0.0000 3.9006 0.0000
0.0000 0.0000 8.8781
Zr Nb Al
1 1 6
Cartesian
0.0000 0.0000 0.0000 Zr
1.9503 1.9503 4.4391 Nb
0.0000 0.0000 4.4391 Al
0.0000 1.9503 2.2739 Al
0.0000 1.9503 6.6042 Al
1.9503 0.0000 2.2739 Al
1.9503 0.0000 6.6042 Al
1.9503 1.9503 0.0000 Al
```

Properties
Formation enthalpy at 0 K: -0.4386 eV per atom
Final energy: -5.579 eV/atom

---

(7)
Material: ZrPb
Method: DFT, GGA-PBE
State: optimized geometry

Cell and atoms, written as POSCAR:
```
ZrPb
1.0
4.0464 0.0000 0.0000
0.0000 8.7698 0.0000
-3.5970 0.0000 5.9346
Zr Pb
4 4
Cartesian
-0.8852 1.1191 1.6071 Zr
-2.6837 3.2658 4.5743 Zr
3.1331 5.5040 1.3602 Zr
1.3346 7.6507 4.3275 Zr
-0.6736 5.4534 4.3406 Pb
1.1249 7.7014 1.3733 Pb
-0.6755 1.0685 4.5613 Pb
1.1230 3.3165 1.5940 Pb
```

Properties
Formation enthalpy at 0 K: -0.0162 eV per atom
Final energy: -6.146 eV/atom

---

(8)
Material: Hf2Bi2O7
Method: DFT, GGA-PBE
State: optimized geometry

Cell and atoms, written as POSCAR:
```
Hf2Bi2O7
1.0
5.4408 -5.4252 0.0000
5.4408 5.4252 0.0000
-5.4363 0.0000 5.4777
Hf Bi O
4 4 14
Cartesian
-1.3487 0.0000 1.3757 Hf
1.3728 2.7010 1.3752 Hf
4.0725 2.7010 4.1025 Hf
6.7939 0.0000 4.1020 Hf
3.8647 -0.0881 1.0295 Bi
1.0727 -2.6734 1.6380 Bi
1.5806 -0.0881 4.4483 Bi
4.3726 -2.6734 3.8397 Bi
-0.1521 1.5010 2.1360 O
5.4408 4.5117 0.0000 O
2.1108 1.2252 0.1462 O
2.7226 2.0672 2.7389 O
-2.6037 -1.2650 4.9210 O
-0.4920 -1.4205 2.6474 O
5.4408 1.2744 0.0000 O
2.7226 -1.4543 2.7389 O
5.4408 -1.7689 0.0000 O
3.3345 1.2252 5.3316 O
5.5974 1.5010 3.3417 O
8.0489 -1.2650 0.5567 O
5.9373 -1.4205 2.8303 O
2.7226 -4.7316 2.7389 O
```

Properties
Formation enthalpy at 0 K: -2.9425 eV per atom
Final energy: -8.172 eV/atom

---

Q: Among the records above, which one has the lowest formation enthalpy at 0 K?
A: KRb2YF6

---

Q: What is the formula in the first record?
A: CeCd3